Te2Cl | r²SCAN | optimized geometry

## Properties
Formation enthalpy at 0 K = -261 meV/atom
ρ = 4.89 g/cm3
Volume = 790 Å³/cell
Total moment = 0.00 μB/cell
Total energy = -1.4153 Ry per atom

```
Te2Cl
1.0
-0.434 0.225 3.953
-5.001 -11.674 0.115
14.257 -6.089 1.911
Cl Te
8 16
Cartesian
-1.241 -4.859 1.143
10.062 -12.679 4.836
5.770 -11.285 4.285
1.524 -12.926 3.913
-2.450 -10.790 3.355
3.051 -6.254 1.694
11.272 -6.749 2.625
7.297 -4.613 2.067
5.578 -13.429 2.379
9.866 -8.335 4.567
9.228 -14.446 2.838
8.806 -9.997 2.539
6.255 -8.470 2.172
-1.044 -9.203 1.412
3.701 -2.230 1.537
5.120 -15.308 4.443
0.015 -7.541 3.441
3.243 -4.110 3.600
2.567 -9.068 3.808
2.214 -11.136 1.880
6.608 -6.402 4.100
7.988 -16.096 4.803
-0.407 -3.092 3.142
0.833 -1.442 1.177
```